Entry i
! Nb4Si7Ni4 GGA-PBE optimized geometry; values from VASP
! Crystal system: tetragonal
! Magnetic moment in μB per formula unit: 0.015
&SYSTEM
  ibrav = 0, nat = 30, ntyp = 3
/
ATOMIC_SPECIES
Nb 92.91 Nb.upf
Si 28.09 Si.upf
Ni 58.69 Ni.upf
CELL_PARAMETERS angstrom
-7.512 7.512 2.305
7.512 -7.512 2.305
7.512 7.512 -2.305
ATOMIC_POSITIONS crystal
Nb 0.089 0.217 0.306
Nb 0.089 0.783 0.872
Nb 0.217 0.089 0.306
Nb 0.217 0.911 0.128
Nb 0.783 0.089 0.872
Nb 0.783 0.911 0.694
Nb 0.911 0.217 0.128
Nb 0.911 0.783 0.694
Si 0.000 0.371 0.371
Si 0.000 0.629 0.629
Si 0.254 0.254 0.000
Si 0.310 0.500 0.810
Si 0.331 0.331 0.662
Si 0.331 0.669 0.000
Si 0.371 0.000 0.371
Si 0.500 0.310 0.810
Si 0.500 0.690 0.190
Si 0.629 0.000 0.629
Si 0.669 0.331 0.000
Si 0.669 0.669 0.338
Si 0.690 0.500 0.190
Si 0.746 0.746 0.000
Ni 0.118 0.618 0.236
Ni 0.118 0.882 0.500
Ni 0.382 0.618 0.500
Ni 0.382 0.882 0.764
Ni 0.618 0.118 0.236
Ni 0.618 0.382 0.500
Ni 0.882 0.118 0.500
Ni 0.882 0.382 0.764

***

Entry ii
! Nb4Si7Ni4 GGA-PBE optimized geometry; values from VASP
! Crystal system: tetragonal
! Magnetic moment in μB per formula unit: 0.003
&SYSTEM
  ibrav = 0, nat = 30, ntyp = 3
/
ATOMIC_SPECIES
Nb 92.91 Nb.upf
Si 28.09 Si.upf
Ni 58.69 Ni.upf
CELL_PARAMETERS angstrom
-6.325 6.325 2.512
6.325 -6.325 2.512
6.325 6.325 -2.512
ATOMIC_POSITIONS crystal
Nb 0.000 0.191 0.191
Nb 0.000 0.809 0.809
Nb 0.191 0.000 0.191
Nb 0.365 0.365 0.731
Nb 0.365 0.635 0.000
Nb 0.635 0.365 0.000
Nb 0.635 0.635 0.269
Nb 0.809 0.000 0.809
Si 0.000 0.407 0.407
Si 0.000 0.593 0.593
Si 0.208 0.208 0.415
Si 0.208 0.500 0.708
Si 0.208 0.792 0.000
Si 0.251 0.251 0.000
Si 0.407 0.000 0.407
Si 0.500 0.208 0.708
Si 0.500 0.792 0.292
Si 0.593 0.000 0.593
Si 0.749 0.749 0.000
Si 0.792 0.208 0.000
Si 0.792 0.500 0.292
Si 0.792 0.792 0.585
Ni 0.102 0.602 0.204
Ni 0.102 0.898 0.500
Ni 0.398 0.602 0.500
Ni 0.398 0.898 0.796
Ni 0.602 0.102 0.204
Ni 0.602 0.398 0.500
Ni 0.898 0.102 0.500
Ni 0.898 0.398 0.796

***

Which of them is least stable? Easy: entry i.

***

Entry i
! Y2MgSe4 GGA-PBE optimized geometry; values from VASP
! Crystal system: orthorhombic
! Magnetic moment in μB per formula unit: 0.002
&SYSTEM
  ibrav = 0, nat = 28, ntyp = 3
/
ATOMIC_SPECIES
Y 88.91 Y.upf
Mg 24.30 Mg.upf
Se 78.96 Se.upf
CELL_PARAMETERS angstrom
13.194 0.000 0.000
0.000 4.023 0.000
0.000 0.000 14.147
ATOMIC_POSITIONS crystal
Y 0.116 0.250 0.073
Y 0.143 0.250 0.702
Y 0.357 0.750 0.202
Y 0.384 0.750 0.573
Y 0.616 0.250 0.427
Y 0.643 0.250 0.798
Y 0.857 0.750 0.298
Y 0.884 0.750 0.927
Mg 0.109 0.750 0.456
Mg 0.391 0.250 0.956
Mg 0.609 0.750 0.044
Mg 0.891 0.250 0.544
Se 0.008 0.750 0.618
Se 0.028 0.250 0.881
Se 0.221 0.250 0.248
Se 0.239 0.250 0.513
Se 0.261 0.750 0.013
Se 0.279 0.750 0.748
Se 0.472 0.750 0.381
Se 0.492 0.250 0.118
Se 0.508 0.750 0.882
Se 0.528 0.250 0.619
Se 0.721 0.250 0.252
Se 0.739 0.250 0.987
Se 0.761 0.750 0.487
Se 0.779 0.750 0.752
Se 0.972 0.750 0.119
Se 0.992 0.250 0.382

***

Entry ii
! Y2MgSe4 GGA-PBE optimized geometry; values from VASP
! Crystal system: orthorhombic
! Magnetic moment in μB per formula unit: 0.000
&SYSTEM
  ibrav = 0, nat = 28, ntyp = 3
/
ATOMIC_SPECIES
Y 88.91 Y.upf
Mg 24.30 Mg.upf
Se 78.96 Se.upf
CELL_PARAMETERS angstrom
8.267 0.000 0.000
0.000 7.636 0.000
0.000 0.000 12.048
ATOMIC_POSITIONS crystal
Y 0.052 0.250 0.186
Y 0.066 0.750 0.481
Y 0.434 0.250 0.981
Y 0.448 0.750 0.686
Y 0.552 0.250 0.314
Y 0.566 0.750 0.019
Y 0.934 0.250 0.519
Y 0.948 0.750 0.814
Mg 0.182 0.750 0.093
Mg 0.318 0.250 0.593
Mg 0.682 0.750 0.407
Mg 0.818 0.250 0.907
Se 0.108 0.250 0.950
Se 0.127 0.501 0.658
Se 0.127 0.999 0.658
Se 0.228 0.250 0.388
Se 0.272 0.750 0.888
Se 0.373 0.001 0.158
Se 0.373 0.499 0.158
Se 0.392 0.750 0.450
Se 0.608 0.250 0.550
Se 0.627 0.501 0.842
Se 0.627 0.999 0.842
Se 0.728 0.250 0.112
Se 0.772 0.750 0.612
Se 0.873 0.001 0.342
Se 0.873 0.499 0.342
Se 0.892 0.750 0.050

***

Which of them is least stable? Easy: entry ii.

***

Entry i
! LiSnP4O12 GGA-PBE optimized geometry; values from VASP
! Crystal system: monoclinic
! Magnetic moment in μB per formula unit: 0.003
&SYSTEM
  ibrav = 0, nat = 36, ntyp = 4
/
ATOMIC_SPECIES
Li 6.94 Li.upf
Sn 118.71 Sn.upf
P 30.97 P.upf
O 16.00 O.upf
CELL_PARAMETERS angstrom
6.279 -4.336 0.000
6.279 4.336 0.000
-5.341 0.000 9.237
ATOMIC_POSITIONS crystal
Li 0.002 0.998 0.750
Li 0.998 0.002 0.250
Sn 0.000 0.500 0.500
Sn 0.500 0.000 0.000
P 0.258 0.726 0.023
P 0.274 0.742 0.477
P 0.306 0.320 0.811
P 0.320 0.306 0.311
P 0.681 0.694 0.689
P 0.694 0.681 0.189
P 0.726 0.258 0.523
P 0.742 0.274 0.977
O 0.102 0.835 0.092
O 0.137 0.289 0.328
O 0.165 0.898 0.408
O 0.196 0.707 0.574
O 0.203 0.342 0.663
O 0.225 0.504 0.932
O 0.289 0.137 0.828
O 0.293 0.804 0.926
O 0.320 0.533 0.353
O 0.342 0.203 0.163
O 0.467 0.680 0.147
O 0.496 0.775 0.568
O 0.504 0.225 0.432
O 0.533 0.320 0.853
O 0.658 0.797 0.837
O 0.680 0.467 0.647
O 0.707 0.196 0.074
O 0.711 0.863 0.172
O 0.775 0.496 0.068
O 0.797 0.658 0.337
O 0.804 0.293 0.426
O 0.835 0.102 0.592
O 0.863 0.711 0.672
O 0.898 0.165 0.908

***

Entry ii
! LiSnP4O12 GGA-PBE optimized geometry; values from VASP
! Crystal system: monoclinic
! Magnetic moment in μB per formula unit: 0.493
&SYSTEM
  ibrav = 0, nat = 72, ntyp = 4
/
ATOMIC_SPECIES
Li 6.94 Li.upf
Sn 118.71 Sn.upf
P 30.97 P.upf
O 16.00 O.upf
CELL_PARAMETERS angstrom
7.423 0.000 0.000
0.000 8.979 0.000
-6.241 0.000 15.052
ATOMIC_POSITIONS crystal
Li 0.125 0.075 0.070
Li 0.125 0.425 0.570
Li 0.875 0.575 0.430
Li 0.875 0.925 0.930
Sn 0.315 0.659 0.858
Sn 0.315 0.841 0.358
Sn 0.685 0.159 0.642
Sn 0.685 0.341 0.142
P 0.095 0.029 0.810
P 0.095 0.471 0.310
P 0.223 0.730 0.050
P 0.223 0.770 0.550
P 0.352 0.555 0.219
P 0.352 0.945 0.719
P 0.358 0.231 0.427
P 0.358 0.269 0.927
P 0.642 0.731 0.073
P 0.642 0.769 0.573
P 0.648 0.055 0.281
P 0.648 0.445 0.781
P 0.777 0.230 0.450
P 0.777 0.270 0.950
P 0.905 0.529 0.690
P 0.905 0.971 0.190
O 0.088 0.628 0.340
O 0.088 0.872 0.840
O 0.096 0.613 0.726
O 0.096 0.887 0.226
O 0.100 0.632 0.536
O 0.100 0.868 0.036
O 0.184 0.627 0.972
O 0.184 0.873 0.472
O 0.193 0.048 0.738
O 0.193 0.452 0.238
O 0.209 0.644 0.134
O 0.209 0.856 0.634
O 0.239 0.116 0.897
O 0.239 0.384 0.397
O 0.258 0.104 0.368
O 0.258 0.396 0.868
O 0.403 0.218 0.526
O 0.403 0.282 0.026
O 0.447 0.656 0.298
O 0.447 0.844 0.798
O 0.448 0.717 0.588
O 0.448 0.783 0.088
O 0.484 0.045 0.695
O 0.484 0.455 0.195
O 0.516 0.545 0.805
O 0.516 0.955 0.305
O 0.552 0.217 0.912
O 0.552 0.283 0.412
O 0.553 0.156 0.202
O 0.553 0.344 0.702
O 0.597 0.718 0.974
O 0.597 0.782 0.474
O 0.742 0.604 0.132
O 0.742 0.896 0.632
O 0.761 0.616 0.603
O 0.761 0.884 0.103
O 0.791 0.144 0.366
O 0.791 0.356 0.866
O 0.807 0.548 0.762
O 0.807 0.952 0.262
O 0.816 0.127 0.528
O 0.816 0.373 0.028
O 0.900 0.132 0.964
O 0.900 0.368 0.464
O 0.904 0.113 0.774
O 0.904 0.387 0.274
O 0.912 0.128 0.160
O 0.912 0.372 0.660

***

Which of them is least stable? Easy: entry ii.

***

Entry i
! MgSb2O4 GGA-PBE optimized geometry; values from VASP
! Crystal system: triclinic
! Magnetic moment in μB per formula unit: 0.000
&SYSTEM
  ibrav = 0, nat = 42, ntyp = 3
/
ATOMIC_SPECIES
Mg 24.30 Mg.upf
Sb 121.76 Sb.upf
O 16.00 O.upf
CELL_PARAMETERS angstrom
6.361 0.000 0.000
3.096 6.212 0.000
0.197 0.570 16.997
ATOMIC_POSITIONS crystal
Mg 0.000 0.000 0.000
Mg 0.002 0.075 0.611
Mg 0.279 0.445 0.650
Mg 0.288 0.452 0.285
Mg 0.672 0.669 0.952
Mg 0.920 0.034 0.352
Sb 0.132 0.233 0.802
Sb 0.152 0.718 0.864
Sb 0.308 0.379 0.026
Sb 0.331 0.832 0.168
Sb 0.398 0.628 0.487
Sb 0.514 0.895 0.332
Sb 0.539 0.015 0.548
Sb 0.652 0.230 0.797
Sb 0.660 0.704 0.747
Sb 0.818 0.343 0.136
Sb 0.852 0.799 0.173
Sb 0.958 0.479 0.453
O 0.008 0.507 0.730
O 0.022 0.491 0.204
O 0.083 0.840 0.254
O 0.091 0.808 0.097
O 0.136 0.197 0.042
O 0.167 0.731 0.573
O 0.208 0.216 0.578
O 0.259 0.487 0.414
O 0.263 0.900 0.412
O 0.302 0.400 0.902
O 0.319 0.806 0.942
O 0.413 0.184 0.728
O 0.492 0.519 0.201
O 0.509 0.506 0.727
O 0.547 0.160 0.316
O 0.636 0.780 0.630
O 0.662 0.215 0.579
O 0.665 0.211 0.044
O 0.703 0.626 0.076
O 0.776 0.464 0.856
O 0.814 0.786 0.390
O 0.883 0.814 0.938
O 0.929 0.314 0.368
O 0.951 0.126 0.726

***

Entry ii
! MgSb2O4 GGA-PBE optimized geometry; values from VASP
! Crystal system: monoclinic
! Magnetic moment in μB per formula unit: 0.000
&SYSTEM
  ibrav = 0, nat = 14, ntyp = 3
/
ATOMIC_SPECIES
Mg 24.30 Mg.upf
Sb 121.76 Sb.upf
O 16.00 O.upf
CELL_PARAMETERS angstrom
6.652 -1.645 0.000
6.652 1.645 0.000
-3.635 0.000 9.789
ATOMIC_POSITIONS crystal
Mg 0.243 0.243 0.247
Mg 0.757 0.757 0.753
Sb 0.119 0.119 0.897
Sb 0.381 0.381 0.589
Sb 0.619 0.619 0.411
Sb 0.881 0.881 0.103
O 0.094 0.094 0.277
O 0.236 0.236 0.606
O 0.270 0.270 0.893
O 0.399 0.399 0.234
O 0.601 0.601 0.766
O 0.730 0.730 0.107
O 0.764 0.764 0.394
O 0.906 0.906 0.723

***

Which of them is least stable? Easy: entry i.

***

Entry i
! MgSi2 GGA-PBE optimized geometry; values from VASP
! Crystal system: triclinic
! Magnetic moment in μB per formula unit: 0.001
&SYSTEM
  ibrav = 0, nat = 12, ntyp = 2
/
ATOMIC_SPECIES
Mg 24.30 Mg.upf
Si 28.09 Si.upf
CELL_PARAMETERS angstrom
3.763 0.000 0.000
-0.005 6.284 0.000
-0.681 -2.246 10.105
ATOMIC_POSITIONS crystal
Mg 0.000 0.000 0.000
Mg 0.050 0.845 0.485
Mg 0.479 0.532 0.989
Mg 0.543 0.310 0.478
Si 0.006 0.707 0.190
Si 0.037 0.408 0.290
Si 0.059 0.245 0.674
Si 0.474 0.794 0.803
Si 0.520 0.210 0.191
Si 0.523 0.905 0.289
Si 0.584 0.173 0.800
Si 0.948 0.628 0.679

***

Entry ii
! MgSi2 GGA-PBE optimized geometry; values from VASP
! Crystal system: monoclinic
! Magnetic moment in μB per formula unit: 0.000
&SYSTEM
  ibrav = 0, nat = 12, ntyp = 2
/
ATOMIC_SPECIES
Mg 24.30 Mg.upf
Si 28.09 Si.upf
CELL_PARAMETERS angstrom
9.834 0.000 0.000
0.000 3.732 0.000
-1.369 0.000 6.319
ATOMIC_POSITIONS crystal
Mg 0.250 0.008 0.084
Mg 0.250 0.492 0.584
Mg 0.750 0.508 0.416
Mg 0.750 0.992 0.916
Si 0.052 0.509 0.850
Si 0.052 0.991 0.350
Si 0.447 0.502 0.316
Si 0.447 0.998 0.816
Si 0.553 0.002 0.184
Si 0.553 0.498 0.684
Si 0.948 0.009 0.650
Si 0.948 0.491 0.150

***

Entry iii
! MgSi2 GGA-PBE optimized geometry; values from VASP
! Crystal system: orthorhombic
! Magnetic moment in μB per formula unit: 0.000
&SYSTEM
  ibrav = 0, nat = 6, ntyp = 2
/
ATOMIC_SPECIES
Mg 24.30 Mg.upf
Si 28.09 Si.upf
CELL_PARAMETERS angstrom
-2.012 3.231 3.923
2.012 -3.231 3.923
2.012 3.231 -3.923
ATOMIC_POSITIONS crystal
Mg 0.329 0.079 0.250
Mg 0.671 0.921 0.750
Si 0.089 0.650 0.439
Si 0.289 0.350 0.939
Si 0.711 0.650 0.061
Si 0.911 0.350 0.561

***

Which of them is least stable? Easy: entry iii.